VASP calculation (PBE with a Hubbard U) on a relaxed LiCoPO4 crystal.

Properties
Its space group is P1, No. 1. The calculation puts the excess energy over the best structure of this formula in the dataset at 81.4 meV/atom. The formation enthalpy at 0 K comes out at -2.327 eV/atom. The calculated density comes out at 3.51 g cm⁻³. For the total moment, the calculation gives 12.0 μB/cell.

The structure in POSCAR format:
```
LiCoPO4
1.0
-0.7860 3.2636 2.6679
1.9015 -8.9522 11.5030
4.6985 1.0830 0.0675
Li Co P O
4 4 4 16
direct
0.9944 0.2507 0.7344
0.9920 0.7493 0.2369
0.5072 0.2487 0.2343
0.5053 0.7513 0.7367
0.5432 0.5605 0.2928
0.5429 0.4395 0.7913
0.9587 0.0603 0.2904
0.9584 0.9395 0.7908
0.0057 0.3869 0.2462
0.0044 0.6133 0.7480
0.4955 0.1127 0.7460
0.4942 0.8872 0.2475
0.1738 0.3162 0.4270
0.1721 0.6838 0.9298
0.3273 0.1833 0.9274
0.3253 0.8168 0.4294
0.6925 0.1604 0.5110
0.6911 0.8394 0.0126
0.8092 0.3392 0.0110
0.8069 0.6611 0.5138
0.2556 0.0480 0.6061
0.2550 0.9519 0.1067
0.2454 0.4518 0.1065
0.2439 0.5488 0.6067
0.7701 0.5577 0.9300
0.7707 0.4419 0.4288
0.7298 0.0576 0.9285
0.7293 0.9423 0.4293
```

VASP calculation (PBE with a Hubbard U) on a relaxed LiMnFeF6 crystal.

Properties
Its space group is P321, No. 150. The formation enthalpy at 0 K comes out at -2.880 eV/atom. The calculated density comes out at 3.61 g cm⁻³. For the total moment, the calculation gives 30.0 μB/cell.

The structure in POSCAR format:
```
LiMnFeF6
1.0
4.4210 -7.6573 0.0000
4.4210 7.6573 0.0000
0.0000 0.0000 4.7276
Li Mn Fe F
3 3 3 18
direct
0.6667 0.3333 0.4954
0.0000 0.0000 0.0000
0.3333 0.6667 0.5046
0.0000 0.3541 0.0000
0.3541 0.0000 0.0000
0.6459 0.6459 0.0000
0.3131 0.3131 0.5000
0.6869 0.0000 0.5000
0.0000 0.6869 0.5000
0.8917 0.4685 0.2715
0.7841 0.5625 0.7217
0.4375 0.2216 0.7217
0.8862 0.1081 0.2431
0.2159 0.7784 0.2783
0.4685 0.8917 0.7285
0.5768 0.1083 0.2715
0.8919 0.7781 0.2431
0.5315 0.4232 0.2715
0.7784 0.2159 0.7217
0.1138 0.2219 0.7569
0.1083 0.5768 0.7285
0.1081 0.8862 0.7569
0.2216 0.4375 0.2783
0.2219 0.1138 0.2431
0.4232 0.5315 0.7285
0.5625 0.7841 0.2783
0.7781 0.8919 0.7569
```

VASP calculation (PBE with a Hubbard U) on a relaxed Li9Co15O28 crystal.

Properties
Its space group is P-1, No. 2. The formation enthalpy at 0 K comes out at -1.466 eV/atom. The calculated density comes out at 4.68 g cm⁻³. For the total moment, the calculation gives 32.0 μB/cell.

The structure in POSCAR format:
```
Li9Co15O28
1.0
-1.5828 -7.7455 2.3819
5.2348 -4.9874 -4.7850
2.9898 -0.4519 7.2410
Li Co O
9 15 28
direct
0.0000 0.5000 0.5000
0.1441 0.6439 0.7842
0.2860 0.2858 0.5650
0.5841 0.0729 0.6581
0.4322 0.4317 0.8651
0.5678 0.5683 0.1349
0.4159 0.9271 0.3419
0.7140 0.7142 0.4350
0.8559 0.3561 0.2158
0.0000 0.0000 0.0000
0.0658 0.0785 0.6423
0.0741 0.5675 0.1340
0.2163 0.2149 0.9267
0.5000 0.0000 0.0000
0.3584 0.3541 0.2109
0.2164 0.7078 0.4254
0.6386 0.1443 0.2880
0.5000 0.5000 0.5000
0.3614 0.8557 0.7120
0.7836 0.2922 0.5746
0.6416 0.6459 0.7891
0.7837 0.7851 0.0733
0.9259 0.4325 0.8660
0.9342 0.9215 0.3577
0.0232 0.2974 0.6070
0.0139 0.7762 0.0725
0.1244 0.3581 0.1826
0.2596 0.0045 0.9715
0.1617 0.4249 0.8758
0.3124 0.0782 0.6677
0.1694 0.9187 0.3814
0.3082 0.5533 0.1502
0.1273 0.8694 0.7152
0.2585 0.5102 0.5010
0.4120 0.1519 0.2751
0.4463 0.2037 0.9288
0.5843 0.3654 0.2437
0.4580 0.7117 0.4479
0.5420 0.2883 0.5521
0.4157 0.6346 0.7563
0.5537 0.7963 0.0712
0.5880 0.8481 0.7249
0.7415 0.4898 0.4990
0.8727 0.1306 0.2848
0.6918 0.4467 0.8498
0.8306 0.0813 0.6186
0.6876 0.9218 0.3323
0.8383 0.5751 0.1242
0.7404 0.9955 0.0285
0.8756 0.6419 0.8174
0.9861 0.2238 0.9275
0.9768 0.7026 0.3930
```

VASP calculation (PBE with a Hubbard U) on a relaxed LiMnH6O7 crystal.

Properties
Its space group is P6_3mc, No. 186. The formation enthalpy at 0 K comes out at -1.323 eV/atom. The calculated density comes out at 2.02 g cm⁻³. For the total moment, the calculation gives 0.0 μB/cell.

The structure in POSCAR format:
```
LiMnH6O7
1.0
3.8851 -6.7291 0.0000
3.8851 6.7291 0.0000
0.0000 0.0000 5.6500
Li Mn H O
2 2 12 14
direct
0.0000 0.0000 0.7188
0.0000 0.0000 0.2188
0.3333 0.6667 0.0018
0.6667 0.3333 0.5018
0.6684 0.9348 0.4573
0.3316 0.2664 0.9573
0.0652 0.7336 0.4573
0.2664 0.3316 0.4573
0.7336 0.6684 0.9573
0.3316 0.0652 0.9573
0.9348 0.2664 0.9573
0.6684 0.7336 0.4573
0.9348 0.6684 0.9573
0.7336 0.0652 0.9573
0.2664 0.9348 0.4573
0.0652 0.3316 0.4573
0.8783 0.7565 0.9683
0.5526 0.1051 0.4086
0.7565 0.8783 0.4683
0.8783 0.1217 0.9683
0.1217 0.8783 0.4683
0.5526 0.4474 0.4086
0.1051 0.5526 0.9086
0.4474 0.8949 0.9086
0.1217 0.2435 0.4683
0.8949 0.4474 0.4086
0.4474 0.5526 0.9086
0.6667 0.3333 0.7865
0.3333 0.6667 0.2865
0.2435 0.1217 0.9683
```